Entry 1:
The following is a r2SCAN calculation of an optimized crystal structure of CrB2W, from the Materials Project database.

Unit cell a=4.3601 b=4.3601 c=3.0015 alpha=90.00 beta=90.00 gamma=138.94
Last column: nearest neighbours and their distance in Å.
Fractional coordinates of all 4 atoms:
B: 0.5580 0.4420 0.0000  2 B 1.81
Cr: 0.8588 0.1412 0.0000  7 B 2.23-2.46
W: 0.1487 0.8513 0.5000  7 B 2.27-2.33
B: 0.4345 0.5655 0.5000  2 B 1.81

Its spin magnetization is 0.0 μB/f.u. The calculation puts the energy of formation from the pure elements at -142 kJ/mol of formula units.

Entry 2:
The following is a r2SCAN calculation of an optimized crystal structure of AlNi2, from the Materials Project database.

Unit cell a=3.9740 b=3.9740 c=4.9043 alpha=90.00 beta=90.00 gamma=120.00
Last column: nearest neighbours and their distance in Å.
Fractional coordinates of all 6 atoms:
Ni: 0.3333 0.6667 0.6851  5 Al 2.37-2.48, 3 Ni 2.47
Al: 0.6667 0.3333 0.8101  8 Ni 2.37-2.48
Ni: 0.0000 0.0000 0.0000  2 Ni 2.45, 6 Al 2.48
Al: 0.3333 0.6667 0.1899  8 Ni 2.37-2.48
Ni: 0.6667 0.3333 0.3149  5 Al 2.37-2.48, 3 Ni 2.47
Ni: 0.0000 0.0000 0.5000  8 Ni 2.45-2.47

Its spin magnetization is 0.0 μB/f.u. The calculation puts the energy of formation from the pure elements at -142 kJ/mol of formula units.

Entry 3:
The following is a r2SCAN calculation of an optimized crystal structure of Tb2Si3, from the Materials Project database.

Unit cell a=3.9337 b=4.1699 c=12.4182 alpha=99.68 beta=90.00 gamma=90.00
Last column: nearest neighbours and their distance in Å.
Fractional coordinates of all 10 atoms:
Tb: 0.7500 0.4305 0.8619  12 Si 3.07-3.36
Si: 0.7500 0.1189 0.2377  3 Si 2.31-2.42
Si: 0.7500 0.8236 0.6467  2 Si 2.42
Si: 0.2500 0.8811 0.7623  3 Si 2.31-2.42
Si: 0.2500 0.1764 0.3533  2 Si 2.42
Si: 0.2500 0.9757 0.9511  3 Si 2.30-2.31
Si: 0.7500 0.0243 0.0489  3 Si 2.30-2.31
Tb: 0.2500 0.5694 0.1380  12 Si 3.07-3.36
Tb: 0.7500 0.7024 0.4046  7 Si 2.92-2.96
Tb: 0.2500 0.2976 0.5954  7 Si 2.92-2.96

Its spin magnetization is 0.0 μB/f.u. The calculation puts the energy of formation from the pure elements at -353 kJ/mol of formula units. Its energy above the most stable polymorph in this dataset is 0.00 eV/f.u.

Entry 4:
The following is a r2SCAN calculation of an optimized crystal structure of HoCu, from the Materials Project database.

Unit cell a=3.4185 b=3.4185 c=3.4185 alpha=90.00 beta=90.00 gamma=90.00
Last column: nearest neighbours and their distance in Å.
Fractional coordinates of all 2 atoms:
Cu: 0.0000 0.0000 0.0000  8 Ho 2.96
Ho: 0.5000 0.5000 0.5000  8 Cu 2.96

Its spin magnetization is 0.0 μB/f.u. The calculation puts the energy of formation from the pure elements at -53 kJ/mol of formula units.

Entry 5:
The following is a r2SCAN calculation of an optimized crystal structure of LaCu2, from the Materials Project database.

Unit cell a=4.3003 b=4.3003 c=3.8510 alpha=90.00 beta=90.00 gamma=120.00
Last column: nearest neighbours and their distance in Å.
Fractional coordinates of all 3 atoms:
Cu: 0.3333 0.6667 0.5000  3 Cu 2.48
La: 0.0000 0.0000 0.0000  12 Cu 3.14
Cu: 0.6667 0.3333 0.5000  3 Cu 2.48

Its spin magnetization is 0.0 μB/f.u. The calculation puts the energy of formation from the pure elements at -58 kJ/mol of formula units.

Entry 6:
The following is a r2SCAN calculation of an optimized crystal structure of ScAgSe2, from the Materials Project database.

Unit cell a=3.9056 b=3.9056 c=6.6104 alpha=90.00 beta=90.00 gamma=120.00
Last column: nearest neighbours and their distance in Å.
Fractional coordinates of all 4 atoms:
Ag: 0.0000 0.0000 0.5000  6 Se 2.87
Se: 0.3333 0.6667 0.2321  3 Sc 2.73, 3 Ag 2.87
Se: 0.6667 0.3333 0.7679  3 Sc 2.73, 3 Ag 2.87
Sc: 0.0000 0.0000 0.0000  6 Se 2.73

Its spin magnetization is 0.0 μB/f.u. The calculation puts the energy of formation from the pure elements at -492 kJ/mol of formula units.

Entry 7:
The following is a r2SCAN calculation of an optimized crystal structure of LaMnSi2, from the Materials Project database.

Unit cell a=9.0966 b=9.0966 c=4.1605 alpha=90.00 beta=90.00 gamma=152.79
Last column: nearest neighbours and their distance in Å.
Fractional coordinates of all 8 atoms:
La: 0.9001 0.0999 0.7500  10 Si 3.20-3.26, 4 Mn 3.36-3.42
Si: 0.4653 0.5347 0.2500  3 Si 2.42-2.45
Mn: 0.7507 0.2493 0.2500  4 Si 2.49-2.53
Si: 0.5347 0.4653 0.7500  3 Si 2.42-2.45
Si: 0.3265 0.6735 0.2500  1 Si 2.45, 4 Mn 2.49-2.53
Mn: 0.2493 0.7507 0.7500  4 Si 2.49-2.53
La: 0.0999 0.9001 0.2500  10 Si 3.20-3.26, 4 Mn 3.36-3.42
Si: 0.6735 0.3265 0.7500  1 Si 2.45, 4 Mn 2.49-2.53

Its spin magnetization is 3.6 μB/f.u. The calculation puts the energy of formation from the pure elements at -263 kJ/mol of formula units.

Entry 8:
The following is a r2SCAN calculation of an optimized crystal structure of PmY3, from the Materials Project database.

Unit cell a=7.3367 b=7.3367 c=5.8888 alpha=90.00 beta=90.00 gamma=120.00
Last column: nearest neighbours and their distance in Å.
Fractional coordinates of all 8 atoms:
Pm: 0.6667 0.3333 0.2500  12 Y 3.63-3.67
Y: 0.1656 0.3312 0.2500  8 Y 3.62-3.69, 4 Pm 3.63-3.67
Pm: 0.3333 0.6667 0.7500  12 Y 3.63-3.67
Y: 0.1656 0.8344 0.2500  8 Y 3.62-3.69, 4 Pm 3.63-3.67
Y: 0.6688 0.8344 0.2500  8 Y 3.62-3.69, 4 Pm 3.63-3.67
Y: 0.8344 0.1656 0.7500  8 Y 3.62-3.69, 4 Pm 3.63-3.67
Y: 0.3312 0.1656 0.7500  8 Y 3.62-3.69, 4 Pm 3.63-3.67
Y: 0.8344 0.6688 0.7500  8 Y 3.62-3.69, 4 Pm 3.63-3.67

Its spin magnetization is 2.6 μB/f.u. The calculation puts the energy of formation from the pure elements at 4 kJ/mol of formula units. Its energy above the most stable polymorph in this dataset is 0.00 eV/f.u.

Entry 9:
The following is a r2SCAN calculation of an optimized crystal structure of SmCuGe, from the Materials Project database.

Unit cell a=4.1400 b=4.1400 c=4.0900 alpha=90.00 beta=90.00 gamma=120.00
Last column: nearest neighbours and their distance in Å.
Fractional coordinates of all 3 atoms:
Cu: 0.6667 0.3333 0.5000  3 Ge 2.39
Ge: 0.0000 0.0000 0.5000  3 Cu 2.39
Sm: 0.3333 0.6667 0.0000  6 Cu 3.15, 6 Ge 3.15

Its spin magnetization is 0.2 μB/f.u. The calculation puts the energy of formation from the pure elements at -208 kJ/mol of formula units.

Entry 10:
The following is a r2SCAN calculation of an optimized crystal structure of La3InPb4, from the Materials Project database.

Unit cell a=8.9113 b=8.9114 c=8.8687 alpha=60.23 beta=60.23 gamma=90.68
Last column: nearest neighbours and their distance in Å.
Fractional coordinates of all 16 atoms:
In: 0.0394 0.5394 0.7782  3 Pb 3.06-3.16, 1 La 3.32
Pb: 0.6660 0.1660 0.7998  2 Pb 3.14, 1 In 3.16, 3 La 3.31-3.50
La: 0.8402 0.6563 0.5000  6 Pb 3.35-3.57, 2 In 3.49
Pb: 0.0050 0.0052 0.9998  6 La 3.12-3.35
Pb: 0.8194 0.0336 0.4998  3 Pb 3.14-3.26, 3 La 3.37-3.50
Pb: 0.5052 0.5050 0.9998  6 La 3.12-3.35
Pb: 0.5336 0.3194 0.4997  3 Pb 3.14-3.26, 3 La 3.37-3.50
La: 0.7544 0.7544 0.0000  4 Pb 3.12-3.50
La: 0.6659 0.1659 0.1730  7 Pb 3.31-3.57, 1 In 3.32
Pb: 0.9660 0.4660 0.2005  2 Pb 3.14, 1 In 3.16, 3 La 3.31-3.50
La: 0.3393 0.8393 0.8270  7 Pb 3.31-3.57, 1 In 3.32
La: 0.2544 0.2544 0.0000  4 Pb 3.12-3.50
Pb: 0.4606 0.6764 0.5003  2 In 3.06, 1 Pb 3.26, 1 La 3.39
Pb: 0.1764 0.9606 0.5003  2 In 3.06, 1 Pb 3.26, 1 La 3.39
La: 0.1563 0.3402 0.5000  6 Pb 3.35-3.57, 2 In 3.49
In: 0.3180 0.8180 0.2218  3 Pb 3.06-3.16, 1 La 3.32

Its spin magnetization is 0.0 μB/f.u. The calculation puts the energy of formation from the pure elements at -561 kJ/mol of formula units.

Entry 11:
The following is a r2SCAN calculation of an optimized crystal structure of LiMn2F9, from the Materials Project database.

Unit cell a=5.1370 b=5.3386 c=13.3461 alpha=97.88 beta=93.51 gamma=120.68
Last column: nearest neighbours and their distance in Å.
Fractional coordinates of all 24 atoms:
Li: 0.9815 0.2832 0.5336  5 F 1.90-2.03
F: 0.7512 0.8812 0.4378  1 Mn 1.75
F: 0.7639 0.2063 0.6465  1 Mn 1.76, 1 Li 1.90
F: 0.2550 0.8357 0.3609  1 Mn 1.72
F: 0.2627 0.6996 0.5858  1 Mn 1.75, 1 Li 1.92
F: 0.2794 0.1869 0.5764  1 Mn 1.75, 1 Li 1.93
Mn: 0.2469 0.0717 0.8573  6 F 1.74-1.94
F: 0.0063 0.8880 0.7215  2 Mn 1.90-1.94
F: 0.5296 0.6602 0.2333  2 Mn 1.90-1.91
F: 0.5578 0.1124 0.2134  2 Mn 1.91-1.93
F: 0.4688 0.7435 0.0422  1 Mn 1.76
Mn: 0.6258 0.9925 0.3371  4 F 1.72-1.91
F: 0.0210 0.7589 0.9086  1 Mn 1.74
F: 0.4544 0.9029 0.7866  2 Mn 1.91-1.93
F: 0.0495 0.2483 0.8914  1 Mn 1.74
F: 0.9468 0.7421 0.1152  1 Mn 1.75, 1 Li 1.95
Li: 0.0127 0.5058 0.0067  6 F 1.94-2.10
Mn: 0.3818 0.0354 0.6681  6 F 1.75-1.91
F: 0.9903 0.2324 0.0921  1 Mn 1.75, 1 Li 1.94
Mn: 0.7596 0.9314 0.1489  6 F 1.75-1.91
F: 0.7687 0.3377 0.4186  1 Mn 1.76, 1 Li 1.97
F: 0.5352 0.2547 0.9629  1 Mn 1.74
F: 0.4746 0.3556 0.7752  2 Mn 1.90-1.92
F: 0.0043 0.1258 0.2796  2 Mn 1.90-1.95

Its spin magnetization is 6.0 μB/f.u. The calculation puts the energy of formation from the pure elements at -3076 kJ/mol of formula units.